Below is a relaxed LaMg11Al crystal, with properties calculated at the PBE-GGA level.

Computed properties:
Uncorrected energy (eV per atom): -2.0869
Formation enthalpy at 0 K (eV/atom): -0.065

Cell lengths 7.818, 7.818, 7.688 Å; angles 81.54, 81.54, 134.77 degrees
Sites, in units of the cell vectors:
La: 0.000 0.000 0.000
Mg: 0.713 0.501 0.782
Mg: 0.287 0.499 0.218
Mg: 0.499 0.287 0.218
Mg: 0.501 0.713 0.782
Mg: 0.650 0.996 0.352
Mg: 0.350 0.004 0.648
Mg: 0.004 0.350 0.648
Mg: 0.996 0.650 0.352
Mg: 0.000 0.000 0.500
Mg: 0.500 0.000 0.000
Mg: 0.000 0.500 0.000
Al: 0.500 0.500 0.500

***

Below is a relaxed LaMg14Al crystal, with properties calculated at the PBE-GGA level.

Computed properties:
Uncorrected energy (eV per atom): -1.9201
Relative energy among the computed polymorphs (meV/atom): 26.7
Formation enthalpy at 0 K (eV/atom): 0.023

Cell lengths 6.527, 6.527, 10.365 Å; angles 90.00, 90.00, 120.00 degrees
Sites, in units of the cell vectors:
La: 0.167 0.333 0.625
Mg: 0.164 0.832 0.125
Mg: 0.177 0.839 0.625
Mg: 0.668 0.336 0.125
Mg: 0.661 0.323 0.625
Mg: 0.668 0.832 0.125
Mg: 0.661 0.839 0.625
Mg: 0.334 0.166 0.366
Mg: 0.334 0.166 0.884
Mg: 0.334 0.669 0.366
Mg: 0.334 0.669 0.884
Mg: 0.831 0.166 0.366
Mg: 0.831 0.166 0.884
Mg: 0.833 0.667 0.382
Mg: 0.833 0.667 0.868
Al: 0.167 0.333 0.125

***

Below is a relaxed La6Mg22Al crystal, with properties calculated at the PBE-GGA level.

Computed properties:
Uncorrected energy (eV per atom): -2.4450
Formation enthalpy at 0 K (eV/atom): -0.081

Cell lengths 10.303, 10.303, 10.303 Å; angles 60.00, 60.00, 60.00 degrees
Sites, in units of the cell vectors:
La: 0.788 0.212 0.212
La: 0.788 0.212 0.788
La: 0.212 0.212 0.788
La: 0.212 0.788 0.788
La: 0.788 0.788 0.212
La: 0.212 0.788 0.212
Mg: 0.864 0.379 0.379
Mg: 0.829 0.829 0.829
Mg: 0.379 0.379 0.379
Mg: 0.000 0.000 0.500
Mg: 0.500 0.500 0.000
Mg: 0.486 0.171 0.171
Mg: 0.379 0.379 0.864
Mg: 0.829 0.514 0.829
Mg: 0.829 0.829 0.514
Mg: 0.621 0.621 0.136
Mg: 0.136 0.621 0.621
Mg: 0.171 0.171 0.486
Mg: 0.379 0.864 0.379
Mg: 0.621 0.621 0.621
Mg: 0.000 0.500 0.000
Mg: 0.000 0.500 0.500
Mg: 0.171 0.486 0.171
Mg: 0.621 0.136 0.621
Mg: 0.514 0.829 0.829
Mg: 0.500 0.000 0.000
Mg: 0.500 0.000 0.500
Mg: 0.171 0.171 0.171
Al: 0.500 0.500 0.500

***

Below is a relaxed La6Mn9Al5 crystal, with properties calculated at the PBE-GGA level.

Computed properties:
Uncorrected energy (eV per atom): -6.7009
Formation enthalpy at 0 K (eV/atom): -0.161

Cell lengths 8.300, 8.300, 13.147 Å; angles 108.40, 108.40, 90.00 degrees
Sites, in units of the cell vectors:
La: 0.358 0.858 0.381
La: 0.642 0.142 0.619
La: 0.023 0.523 0.381
La: 0.523 0.358 0.381
La: 0.142 0.977 0.619
La: 0.977 0.477 0.619
La: 0.477 0.642 0.619
La: 0.858 0.023 0.381
La: 0.107 0.107 0.213
La: 0.893 0.893 0.787
La: 0.393 0.393 0.787
La: 0.607 0.607 0.213
Mn: 0.070 0.211 0.000
Mn: 0.930 0.789 0.000
Mn: 0.789 0.070 0.000
Mn: 0.430 0.711 0.000
Mn: 0.211 0.930 0.000
Mn: 0.570 0.289 0.000
Mn: 0.711 0.570 0.000
Mn: 0.289 0.430 0.000
Mn: 0.228 0.728 0.107
Mn: 0.772 0.272 0.893
Mn: 0.879 0.379 0.107
Mn: 0.379 0.228 0.107
Mn: 0.272 0.121 0.893
Mn: 0.121 0.621 0.893
Mn: 0.621 0.772 0.893
Mn: 0.728 0.879 0.107
Mn: 0.000 0.500 0.000
Mn: 0.500 0.000 0.000
Al: 0.714 0.214 0.187
Al: 0.286 0.786 0.813
Al: 0.472 0.972 0.187
Al: 0.972 0.714 0.187
Al: 0.786 0.528 0.813
Al: 0.528 0.028 0.813
Al: 0.028 0.286 0.813
Al: 0.214 0.472 0.187
Al: 0.250 0.250 0.500
Al: 0.750 0.750 0.500

***

Below is a relaxed La3MnAlS7 crystal, with properties calculated at the PBE-GGA level.

Computed properties:
E (MP2020) (eV per atom): -6.7389
Uncorrected energy (eV per atom): -6.4455
Formation enthalpy at 0 K (eV/atom): -2.016

Cell lengths 10.248, 10.248, 6.032 Å; angles 90.00, 90.00, 120.00 degrees
Sites, in units of the cell vectors:
La: 0.140 0.375 0.235
La: 0.860 0.625 0.735
La: 0.625 0.765 0.235
La: 0.235 0.860 0.235
La: 0.765 0.140 0.735
La: 0.375 0.235 0.735
Mn: 0.000 0.000 0.995
Mn: 0.000 0.000 0.495
Al: 0.333 0.667 0.655
Al: 0.667 0.333 0.155
S: 0.333 0.667 0.024
S: 0.667 0.333 0.524
S: 0.089 0.236 0.759
S: 0.911 0.764 0.259
S: 0.764 0.853 0.759
S: 0.147 0.911 0.759
S: 0.853 0.089 0.259
S: 0.236 0.147 0.259
S: 0.419 0.520 0.509
S: 0.581 0.480 0.009
S: 0.480 0.899 0.509
S: 0.101 0.581 0.509
S: 0.899 0.419 0.009
S: 0.520 0.101 0.009

***

Below is a relaxed LaAl2Si5N9O crystal, with properties calculated at the PBE-GGA level.

Computed properties:
E (MP2020) (eV per atom): -7.9430
Uncorrected energy (eV per atom): -7.9048
Formation enthalpy at 0 K (eV/atom): -1.302

Cell lengths 9.414, 9.163, 9.835 Å; angles 89.87, 90.00, 90.00 degrees
Sites, in units of the cell vectors:
La: 0.623 0.156 0.386
La: 0.377 0.156 0.886
La: 0.869 0.354 0.394
La: 0.131 0.354 0.894
Al: 0.168 0.937 0.681
Al: 0.832 0.937 0.181
Al: 0.752 0.751 0.910
Al: 0.248 0.751 0.410
Al: 0.252 0.248 0.566
Al: 0.748 0.248 0.066
Al: 0.518 0.996 0.096
Al: 0.482 0.996 0.596
Si: 0.016 0.980 0.421
Si: 0.984 0.980 0.921
Si: 0.458 0.818 0.838
Si: 0.542 0.818 0.338
Si: 0.045 0.676 0.843
Si: 0.955 0.676 0.343
Si: 0.327 0.561 0.677
Si: 0.673 0.561 0.177
Si: 0.483 0.516 0.418
Si: 0.517 0.516 0.918
Si: 0.029 0.498 0.593
Si: 0.971 0.498 0.093
Si: 0.183 0.453 0.318
Si: 0.817 0.453 0.818
Si: 0.554 0.336 0.665
Si: 0.446 0.336 0.165
Si: 0.043 0.167 0.167
Si: 0.957 0.167 0.667
Si: 0.690 0.052 0.820
Si: 0.310 0.052 0.320
N: 0.137 0.877 0.510
N: 0.863 0.877 0.010
N: 0.371 0.871 0.304
N: 0.629 0.871 0.804
N: 0.086 0.857 0.830
N: 0.914 0.857 0.330
N: 0.583 0.638 0.317
N: 0.417 0.638 0.817
N: 0.132 0.632 0.306
N: 0.868 0.632 0.806
N: 0.627 0.626 0.018
N: 0.373 0.626 0.518
N: 0.087 0.582 0.988
N: 0.913 0.582 0.488
N: 0.144 0.579 0.710
N: 0.856 0.579 0.210
N: 0.634 0.425 0.802
N: 0.366 0.425 0.302
N: 0.594 0.390 0.501
N: 0.406 0.390 0.001
N: 0.132 0.384 0.481
N: 0.868 0.384 0.981
N: 0.632 0.369 0.190
N: 0.368 0.369 0.690
N: 0.075 0.362 0.190
N: 0.925 0.362 0.690
N: 0.584 0.144 0.690
N: 0.416 0.144 0.190
N: 0.142 0.143 0.695
N: 0.858 0.143 0.195
N: 0.625 0.117 0.977
N: 0.375 0.117 0.477
N: 0.090 0.111 0.006
N: 0.910 0.111 0.506
N: 0.129 0.079 0.302
N: 0.871 0.079 0.802
O: 0.637 0.913 0.217
O: 0.363 0.913 0.717
O: 0.593 0.902 0.479
O: 0.407 0.902 0.979